Here is crystalline Ta2MnOs at its relaxed geometry from the Materials Project. Energies are from PBE.

## Properties
Space-group type   Fm-3m
DFT formation energy   -280 meV/atom

```
4
Lattice="0.345 -4.409 0.393 -1.063 -1.977 3.830 -3.660 -2.498 0.268" Properties=species:S:1:pos:R:3 pbc="T T T"
Mn -2.189 -4.442 2.246
Os 0.000 0.000 0.000
Ta -1.095 -2.221 1.123
Ta -3.284 -6.662 3.369
```